# 1
Computed, not measured: crystalline ThBi2 at its relaxed geometry at the PBE level of DFT.

Cell and atoms, written as POSCAR:
```
ThBi2
1.0
-3.6873 -2.5621 -0.7868
0.4285 -1.8844 4.1286
-5.4502 6.7271 3.6361
Bi Th
4 2
Direct
0.5000 0.0000 0.6364
0.0000 0.5000 0.3636
0.5000 0.5000 0.0000
0.0000 0.0000 0.0000
0.0000 0.5000 0.7216
0.5000 0.0000 0.2784
```

Output
- symmetry = P4/nmm, No. 129
- formation enthalpy at 0 K (eV/f.u.) = -1.57
- density (g/cm³) = 11.1

***

# 2
Computed, not measured: crystalline Th5Bi3 at its relaxed geometry at the PBE level of DFT.

Cell and atoms, written as POSCAR:
```
Th5Bi3
1.0
0.4211 6.3415 -1.6295
1.2009 2.2817 9.1900
7.5764 -1.9094 -5.4727
Th Bi
10 6
Direct
0.7500 0.7477 0.7477
0.5000 0.6667 0.3334
0.0000 0.3333 0.6666
0.2500 0.0000 0.7477
0.2500 0.7475 0.0000
0.0000 0.6667 0.3334
0.7500 0.0000 0.2523
0.5000 0.3333 0.6666
0.7500 0.2525 0.0000
0.2500 0.2523 0.2523
0.2500 0.3890 0.0000
0.7500 0.6110 0.0000
0.2500 0.0000 0.3890
0.7500 0.0000 0.6110
0.7500 0.3890 0.3890
0.2500 0.6110 0.6110
```

Output
- symmetry = P6_3/mcm, No. 193
- formation enthalpy at 0 K (eV/f.u.) = -3.31
- density (g/cm³) = 11.5

***

# 3
Computed, not measured: crystalline TmBi3 at its relaxed geometry at the PBE level of DFT.

Cell and atoms, written as POSCAR:
```
TmBi3
1.0
-5.7026 2.4369 1.6420
-3.3674 3.0808 -4.5081
3.0759 -5.5995 0.5816
Bi Tm
3 1
Direct
0.5000 0.5000 0.0000
0.2500 0.7500 0.5000
0.7500 0.2500 0.5000
0.0000 0.0000 0.0000
```

Output
- symmetry = I4/mmm, No. 139
- formation enthalpy at 0 K (eV/f.u.) = -1.06
- density (g/cm³) = 11.0

***

# 4
Computed, not measured: crystalline Tm5Bi3 at its relaxed geometry at the PBE level of DFT.

Cell and atoms, written as POSCAR:
```
Tm5Bi3
1.0
8.0179 1.8663 -0.5379
-1.9994 9.0436 1.5741
1.1924 -1.7646 11.6522
Tm Bi
20 12
Direct
0.9740 0.2500 0.5094
0.1959 0.4388 0.0675
0.0260 0.7500 0.4906
0.6725 0.2500 0.7332
0.1959 0.0612 0.0675
0.8041 0.5612 0.9325
0.3041 0.0612 0.5675
0.1535 0.2500 0.7881
0.6959 0.9388 0.4325
0.8275 0.2500 0.2332
0.3041 0.4388 0.5675
0.8465 0.7500 0.2119
0.3465 0.2500 0.2881
0.4740 0.7500 0.9906
0.1725 0.7500 0.7668
0.6959 0.5612 0.4325
0.5260 0.2500 0.0094
0.6535 0.7500 0.7119
0.3275 0.7500 0.2668
0.8041 0.9388 0.9325
0.0688 0.4888 0.3257
0.5688 0.5112 0.1743
0.5928 0.2500 0.4787
0.5688 0.9888 0.1743
0.9312 0.9888 0.6743
0.4072 0.7500 0.5213
0.4312 0.4888 0.8257
0.9312 0.5112 0.6743
0.9072 0.2500 0.9787
0.0928 0.7500 0.0213
0.4312 0.0112 0.8257
0.0688 0.0112 0.3257
```

Output
- excess energy over the best structure of this formula in the dataset (meV/atom) = 11
- symmetry = Pnma, No. 62
- formation enthalpy at 0 K (eV/f.u.) = -4.85
- density (g/cm³) = 10.6

***

# 5
Computed, not measured: crystalline TmBi3 at its relaxed geometry at the PBE level of DFT.

Cell and atoms, written as POSCAR:
```
TmBi3
1.0
0.0338 4.9252 4.7360
-5.5921 -1.0682 -3.7783
-2.0102 -3.9102 4.0808
Bi Tm
6 2
Direct
0.8275 0.1725 0.7500
0.1725 0.3451 0.2500
0.3451 0.1725 0.7500
0.1725 0.8275 0.2500
0.8275 0.6549 0.7500
0.6549 0.8275 0.2500
0.3333 0.6667 0.7500
0.6667 0.3333 0.2500
```

Output
- symmetry = P6_3/mmc, No. 194
- formation enthalpy at 0 K (eV/f.u.) = -1.07
- density (g/cm³) = 10.9

***

# 6
Computed, not measured: crystalline Tm5Bi3 at its relaxed geometry at the PBE level of DFT.

Cell and atoms, written as POSCAR:
```
Tm5Bi3
1.0
-5.9919 -3.5477 -4.2601
-3.9160 -3.0318 8.0327
-6.4019 10.0192 0.6606
Bi Tm
12 20
Direct
0.9332 0.9965 0.6740
0.0668 0.0035 0.3260
0.9083 0.2500 0.9576
0.4332 0.5035 0.8260
0.0668 0.4965 0.3260
0.0917 0.7500 0.0424
0.5917 0.7500 0.4576
0.9332 0.5035 0.6740
0.4332 0.9965 0.8260
0.5668 0.0035 0.1740
0.4083 0.2500 0.5424
0.5668 0.4965 0.1740
0.6939 0.0659 0.4395
0.6880 0.2500 0.7188
0.5265 0.2500 0.9889
0.0265 0.2500 0.5111
0.9735 0.7500 0.4889
0.1939 0.0659 0.0605
0.3120 0.7500 0.2812
0.6445 0.7500 0.7168
0.8061 0.5659 0.9395
0.3061 0.9341 0.5605
0.1880 0.2500 0.7812
0.3555 0.2500 0.2832
0.6939 0.4341 0.4395
0.8120 0.7500 0.2188
0.1939 0.4341 0.0605
0.4735 0.7500 0.0111
0.1445 0.7500 0.7832
0.8061 0.9341 0.9395
0.3061 0.5659 0.5605
0.8555 0.2500 0.2168
```

Output
- excess energy over the best structure of this formula in the dataset (meV/atom) = 0
- symmetry = Pnma, No. 62
- formation enthalpy at 0 K (eV/f.u.) = -4.94
- density (g/cm³) = 10.7

***

# 7
Computed, not measured: crystalline U3Bi4 at its relaxed geometry at the PBE level of DFT.

Cell and atoms, written as POSCAR:
```
U3Bi4
1.0
6.8516 2.5000 3.5386
-1.1022 -7.8869 1.5160
0.5117 1.1671 -8.0057
U Bi
6 8
Direct
0.7500 0.8750 0.1250
0.1250 0.7500 0.8750
0.2500 0.6250 0.3750
0.8750 0.1250 0.7500
0.3750 0.2500 0.6250
0.6250 0.3750 0.2500
0.1580 0.1580 0.1580
0.6580 0.6580 0.6580
0.5000 0.0000 0.8420
0.3420 0.5000 0.0000
0.8420 0.5000 0.0000
0.0000 0.8420 0.5000
0.5000 0.0000 0.3420
0.0000 0.3420 0.5000
```

Output
- symmetry = I-43d, No. 220
- formation enthalpy at 0 K (eV/f.u.) = 0.53
- density (g/cm³) = 12.6

***

# 8
Computed, not measured: crystalline V4Bi3 at its relaxed geometry at the PBE level of DFT.

Cell and atoms, written as POSCAR:
```
V4Bi3
1.0
1.0236 5.7927 -4.2463
-2.0096 -6.9643 0.3063
-19.3245 5.7142 3.1368
Bi V
12 16
Direct
0.5372 0.4628 0.2500
0.8992 0.1008 0.3836
0.8160 0.1840 0.5711
0.1840 0.8160 0.0711
0.1008 0.8992 0.8836
0.1840 0.8160 0.4289
0.4628 0.5372 0.7500
0.1008 0.8992 0.6164
0.8992 0.1008 0.1164
0.7354 0.2646 0.7500
0.2646 0.7354 0.2500
0.8160 0.1840 0.9289
0.2939 0.7061 0.6693
0.3986 0.6014 0.0163
0.6014 0.3986 0.5163
0.5397 0.4603 0.4052
0.1012 0.8988 0.7500
0.5397 0.4603 0.0948
0.7061 0.2939 0.1693
0.8988 0.1012 0.2500
0.4603 0.5397 0.9052
0.6014 0.3986 0.9837
0.0000 0.0000 0.0000
0.7061 0.2939 0.3307
0.0000 0.0000 0.5000
0.2939 0.7061 0.8307
0.3986 0.6014 0.4837
0.4603 0.5397 0.5948
```

Output
- excess energy over the best structure of this formula in the dataset (meV/atom) = 17
- symmetry = Cmcm, No. 63
- formation enthalpy at 0 K (eV/f.u.) = 1.93
- density (g/cm³) = 9.2

***

# 9
Computed, not measured: crystalline V4Bi23 at its relaxed geometry at the PBE level of DFT.

Cell and atoms, written as POSCAR:
```
V4Bi23
1.0
-7.0013 6.1837 -5.6835
-11.8044 -0.4652 13.1020
2.9198 13.8892 10.5342
Bi V
92 16
Direct
0.9064 0.5796 0.1185
0.7075 0.9346 0.0485
0.0917 0.5788 0.9543
0.4661 0.0829 0.0970
0.0364 0.5742 0.5898
0.0487 0.9266 0.0758
0.6054 0.2654 0.6661
0.7559 0.2448 0.1728
0.7416 0.7505 0.3354
0.3946 0.7346 0.3339
0.7698 0.0732 0.1212
0.9636 0.4258 0.4102
0.2595 0.9210 0.1959
0.4244 0.0805 0.7762
0.2389 0.2543 0.9982
0.9012 0.7043 0.8467
0.5330 0.7440 0.1545
0.7882 0.4140 0.5667
0.4673 0.4262 0.9095
0.9351 0.2348 0.9968
0.2728 0.0736 0.6169
0.7543 0.4176 0.2068
0.0988 0.2957 0.1533
0.2118 0.5860 0.4333
0.0321 0.7760 0.3265
0.6161 0.4122 0.3828
0.7437 0.2446 0.5014
0.8996 0.7538 0.5013
0.7369 0.7426 0.6673
0.0499 0.5849 0.2815
0.7611 0.7457 0.0018
0.0649 0.7652 0.0032
0.1004 0.2462 0.4987
0.2925 0.0654 0.9515
0.9327 0.0743 0.2734
0.8075 0.0732 0.4419
0.4483 0.4237 0.5745
0.6103 0.2166 0.3405
0.2764 0.4105 0.7247
0.5509 0.7486 0.5040
0.7272 0.9264 0.3831
0.5745 0.9250 0.5646
0.2457 0.5824 0.7932
0.2441 0.7552 0.8272
0.7579 0.2604 0.8228
0.3863 0.7470 0.9970
0.3897 0.7834 0.6595
0.6074 0.0802 0.6220
0.9657 0.0746 0.5890
0.5339 0.9171 0.9030
0.9501 0.4151 0.7185
0.5756 0.9195 0.2238
0.1925 0.9268 0.5581
0.5409 0.7606 0.8292
0.0673 0.9257 0.7266
0.2301 0.5688 0.1337
0.9513 0.0734 0.9242
0.0343 0.9254 0.4110
0.7349 0.5798 0.5956
0.2563 0.7554 0.4986
0.2421 0.7396 0.1772
0.5327 0.5738 0.0905
0.2651 0.4202 0.4044
0.3926 0.9198 0.3780
0.4491 0.2514 0.4960
0.5517 0.5763 0.4255
0.3032 0.4267 0.0626
0.2584 0.2495 0.6646
0.6137 0.2530 0.0030
0.7455 0.9132 0.7151
0.8915 0.9076 0.8827
0.0314 0.7247 0.6754
0.7236 0.5895 0.2753
0.4670 0.2560 0.8455
0.9686 0.2753 0.3246
0.2545 0.0868 0.2849
0.6968 0.5733 0.9374
0.7699 0.4312 0.8663
0.9083 0.4212 0.0457
0.8848 0.7739 0.1610
0.9679 0.2240 0.6735
0.5669 0.5768 0.7666
0.1152 0.2261 0.8390
0.3839 0.5878 0.6172
0.4331 0.4232 0.2334
0.4255 0.0750 0.4354
0.7405 0.0790 0.8041
0.4591 0.2394 0.1708
0.0936 0.4204 0.8815
0.2631 0.2574 0.3327
0.2302 0.9268 0.8788
0.1085 0.0924 0.1173
0.6039 0.0829 0.2595
0.0977 0.3915 0.5710
0.1398 0.4181 0.2549
0.9023 0.6085 0.4290
0.3961 0.9171 0.7405
0.8609 0.9118 0.2307
0.4209 0.6029 0.9166
0.5949 0.4093 0.7317
0.4385 0.9186 0.0660
0.9032 0.8935 0.5787
0.4051 0.5907 0.2683
0.5791 0.3971 0.0834
0.5615 0.0814 0.9340
0.1391 0.0882 0.7693
0.0968 0.1065 0.4213
0.8602 0.5819 0.7451
```

Output
- symmetry = P-1, No. 2
- formation enthalpy at 0 K (eV/f.u.) = 7.85
- density (g/cm³) = 10.3

***

# 10
Computed, not measured: crystalline VBi at its relaxed geometry at the PBE level of DFT.

Cell and atoms, written as POSCAR:
```
VBi
1.0
-3.0184 1.5313 0.8569
-3.2891 -6.5173 0.0603
1.4887 -0.6914 6.4793
V Bi
4 4
Direct
0.2586 0.0012 0.1460
0.7586 0.4988 0.6460
0.7586 0.9988 0.8540
0.2586 0.5012 0.3540
0.7587 0.3125 0.0784
0.2587 0.1875 0.5784
0.2587 0.6875 0.9216
0.7587 0.8125 0.4216
```

Output
- symmetry = Pnma, No. 62
- formation enthalpy at 0 K (eV/f.u.) = 0.64
- density (g/cm³) = 10.1

***

# 11
Computed, not measured: crystalline V4Bi3 at its relaxed geometry at the PBE level of DFT.

Cell and atoms, written as POSCAR:
```
V4Bi3
1.0
2.1211 6.9041 0.0000
-2.1211 6.9041 0.0000
0.0000 3.6036 9.9954
V Bi
8 6
Direct
0.7909 0.7909 0.1525
0.5600 0.5600 0.3536
0.3633 0.3633 0.4762
0.2091 0.2091 0.8475
0.4400 0.4400 0.6464
0.6367 0.6367 0.5238
0.0000 0.0000 0.5000
0.0000 0.0000 0.0000
0.2140 0.2140 0.3354
0.6292 0.6292 0.0413
0.3708 0.3708 0.9587
0.7860 0.7860 0.6646
0.9432 0.9432 0.2749
0.0568 0.0568 0.7251
```

Output
- excess energy over the best structure of this formula in the dataset (meV/atom) = 0
- symmetry = C2/m, No. 12
- formation enthalpy at 0 K (eV/f.u.) = 1.81
- density (g/cm³) = 9.4

***

# 12
Computed, not measured: crystalline VBi2 at its relaxed geometry at the PBE level of DFT.

Cell and atoms, written as POSCAR:
```
VBi2
1.0
-2.7876 0.0036 -4.9613
0.8711 -0.6299 -5.5883
-1.9060 -7.3333 -3.7125
Bi V
4 2
Direct
0.4088 0.4088 0.8863
0.8422 0.8422 0.5494
0.1578 0.1578 0.4506
0.5912 0.5912 0.1137
0.1438 0.1438 0.8171
0.8562 0.8562 0.1829
```

Output
- symmetry = C2/m, No. 12
- formation enthalpy at 0 K (eV/f.u.) = 0.69
- density (g/cm³) = 10.7